# Na3W3Cl13

Na3W3Cl13 after structural relaxation (PBE-GGA, Materials Project).

The structure in POSCAR format:
```
Na3W3Cl13
1.0
25.2745 0.0000 0.0000
0.0000 9.2207 0.0000
0.0000 4.4891 8.0569
Cl W Na
52 12 12
Cartesian
10.7007 5.0695 2.0289
20.8181 9.9784 6.8225
17.7039 5.9604 1.2312
11.0579 9.6318 6.9384
23.3379 1.7854 1.9996
1.9366 11.9244 6.0574
11.0395 2.3029 0.4781
23.6951 10.9329 5.1470
20.8499 8.3006 0.4286
4.5882 10.0460 6.0480
1.7257 7.2484 7.7841
23.4486 7.2420 5.2354
8.1809 10.5863 5.2628
14.2350 11.4069 7.5788
17.2573 7.6660 7.6276
4.6201 3.6781 4.4578
20.6544 10.0318 3.5991
5.0667 10.1152 2.7973
14.2166 4.0780 1.1185
23.7461 4.5151 6.8099
1.5794 2.7769 2.9099
1.8259 6.4678 2.8216
4.5490 7.3088 4.4215
17.0936 3.1235 2.7941
14.1657 6.8809 2.7815
17.1786 8.7370 2.8593
7.5706 7.7494 6.8258
14.5738 8.6403 6.0280
11.1088 6.8290 5.2755
10.9115 9.6142 3.7557
17.1862 13.2559 7.6639
17.2255 10.5188 6.0373
20.2078 3.5946 5.2596
8.0490 3.1911 2.0196
17.0618 5.9349 4.4571
20.7255 6.4010 3.6354
14.3630 4.0956 4.3012
20.7332 6.3712 6.8878
8.2127 7.7750 3.5998
23.5488 6.4614 0.2728
4.5413 7.3387 1.1691
14.4631 9.6078 1.2069
4.4246 5.4092 7.6283
10.8114 4.1020 6.8500
23.6768 4.5520 3.5504
20.6863 3.6638 2.0089
1.5284 9.1947 1.2470
8.0172 6.0439 0.4294
4.4564 3.7314 1.2344
1.5977 9.1579 4.5066
8.0959 4.9729 5.1976
8.0883 0.4539 0.3930
3.2276 8.5370 2.8339
15.8648 7.5386 1.1945
15.8353 5.1467 2.5546
22.0469 5.1728 5.2230
3.1980 1.7083 1.4739
9.4097 6.1712 6.8624
3.2675 10.8840 4.2269
22.0765 12.0016 6.5830
9.3697 4.0291 0.1985
15.9048 9.6807 7.8584
9.4392 8.5632 5.5023
22.0070 2.8258 3.8300
18.9614 1.3378 1.2256
15.2043 5.8078 6.5804
10.0565 3.1630 4.1272
6.3242 5.5171 2.8028
10.0702 7.9020 1.4765
2.5807 5.5288 0.0987
18.9503 8.1927 5.2541
22.6938 8.1810 7.9582
6.3131 12.3720 6.8313
15.2180 10.5468 3.9297
2.5671 5.5362 5.5050
22.7074 8.1736 2.5519
```

# K3NaS2

K3NaS2 after structural relaxation (PBE-GGA, Materials Project).

The structure in POSCAR format:
```
K3NaS2
1.0
-2.5474 -4.4120 0.0000
-5.0947 0.0000 0.0000
0.0000 0.0000 -7.3729
S K Na
2 3 1
Cartesian
-2.5474 -1.4708 -5.5297
-5.0947 -2.9414 -1.8432
-5.0947 0.0000 -7.3560
-2.5474 -1.4706 -1.8432
-5.0947 0.0000 -3.7034
-5.0947 -2.9411 -5.5297
```

# Gd6C3Cl5

Gd6C3Cl5 after structural relaxation (PBE-GGA, Materials Project).

The structure in POSCAR format:
```
Gd6C3Cl5
1.0
3.6335 0.0002 0.6661
1.7605 8.2100 0.6430
-0.0102 -0.0236 10.2884
Gd C Cl
6 3 5
Cartesian
3.1892 7.5637 3.1133
1.1730 4.6495 3.9033
2.2139 0.6123 8.4563
4.2354 3.5188 7.7072
2.5974 6.7188 6.3279
2.7970 1.4802 5.2480
0.6701 0.9931 6.6019
2.7108 4.0776 5.7985
4.7258 7.1677 4.9801
3.3817 5.0519 2.1514
2.0415 3.0995 9.4614
4.0101 6.1066 8.7642
1.3560 2.0684 2.7912
1.7491 8.1571 10.9147
```

# Nd2CuTe2O

Nd2CuTe2O after structural relaxation (PBE-GGA, Materials Project).

The structure in POSCAR format:
```
Nd2CuTe2O
1.0
-3.3200 0.8837 1.0251
0.1802 -2.4026 2.6551
5.7710 10.7994 9.3807
Te Nd Cu O
2 2 1 1
Cartesian
3.2933 8.3411 9.7451
-0.6620 0.9394 3.3158
2.1017 6.1114 7.8083
0.5295 3.1692 5.2526
-1.5699 -0.7594 1.8401
1.3156 4.6403 6.5304
```

Number 1: total DFT energy (no corrections) -4.662 eV per atom, energy relative to the elements -2865 kJ/mol of formula units. Number 2: total DFT energy (no corrections) -3.118 eV per atom, energy relative to the elements -655 kJ/mol of formula units. Number 3: total DFT energy (no corrections) -10.044 eV per atom, energy relative to the elements -2152 kJ/mol of formula units. Number 4: total DFT energy (no corrections) -4.606 eV per atom, energy relative to the elements -333 kJ/mol of formula units.